Compound: MgZn2Ni4O8
Source: the Materials Project database
Functional: PBE+U
Structure: optimized geometry

* symmetry: P-1

a b c (Å): 6.233 6.162 6.169
angles (deg): 57.14 56.01 56.04
Sites, in units of the cell vectors:
1 O 0.705 0.734 0.734
2 Ni 0.500 0.500 0.000
3 Zn 0.173 0.148 0.145
4 O 0.236 0.753 0.754
5 Ni 0.500 0.500 0.500
6 Ni 0.000 0.500 0.500
7 O 0.295 0.266 0.266
8 Ni 0.500 0.000 0.500
9 O 0.764 0.247 0.246
10 Mg 0.000 0.000 0.000
11 Zn 0.827 0.852 0.855
12 O 0.262 0.733 0.235
13 O 0.739 0.764 0.268
14 O 0.261 0.236 0.732
15 O 0.738 0.267 0.765



Compound: MgZnNi4O8
Source: the Materials Project database
Functional: PBE+U
Structure: optimized geometry

* symmetry: C2/m

a b c (Å): 5.937 6.021 5.937
angles (deg): 58.78 58.33 58.78
Sites, in units of the cell vectors:
1 Ni 0.500 0.000 0.500
2 Mg 0.000 0.500 0.000
3 Zn 0.500 0.500 0.500
4 Ni 0.000 0.000 0.000
5 O 0.748 0.707 0.748
6 O 0.776 0.727 0.273
7 O 0.224 0.273 0.727
8 O 0.252 0.293 0.252
9 Ni 0.000 0.500 0.500
10 O 0.727 0.273 0.224
11 Ni 0.500 0.500 0.000
12 O 0.753 0.293 0.753
13 O 0.247 0.707 0.247
14 O 0.273 0.727 0.776



Compound: MgV4Sb2P6O24
Source: the Materials Project database
Functional: PBE+U
Structure: optimized geometry

* symmetry: P1

a b c (Å): 9.511 9.796 9.202
angles (deg): 54.14 55.72 54.65
Sites, in units of the cell vectors:
1 O 0.125 0.266 0.502
2 O 0.911 0.777 0.394
3 O 0.006 0.147 0.419
4 O 0.786 0.388 0.552
5 O 0.937 0.067 0.756
6 O 0.396 0.023 0.192
7 P 0.538 0.958 0.268
8 Sb 0.473 0.472 0.451
9 O 0.437 0.915 0.753
10 O 0.073 0.726 0.947
11 O 0.128 0.405 0.057
12 O 0.550 0.785 0.445
13 O 0.228 0.565 0.424
14 O 0.154 0.900 0.256
15 V 0.144 0.153 0.158
16 O 0.719 0.496 0.851
17 O 0.281 0.144 0.903
18 V 0.350 0.327 0.338
19 O 0.431 0.241 0.556
20 O 0.378 0.526 0.779
21 Mg 0.607 0.564 0.667
22 P 0.441 0.066 0.757
23 O 0.529 0.111 0.288
24 P 0.748 0.456 0.025
25 O 0.735 0.919 0.098
26 O 0.564 0.434 0.209
27 P 0.968 0.226 0.546
28 P 0.227 0.526 0.972
29 V 0.728 0.768 0.697
30 O 0.906 0.282 0.078
31 P 0.067 0.762 0.421
32 O 0.746 0.635 0.984
33 O 0.996 0.754 0.622
34 O 0.305 0.492 0.103
35 V 0.850 0.850 0.853
36 Sb 0.973 0.941 0.017
37 O 0.636 0.010 0.743



Compound: MgV4Sb2P6O24
Source: the Materials Project database
Functional: PBE+U
Structure: optimized geometry

* symmetry: P1

a b c (Å): 9.091 9.093 9.099
angles (deg): 57.50 57.52 57.66
Sites, in units of the cell vectors:
1 P 0.034 0.750 0.466
2 O 0.378 0.996 0.215
3 O 0.086 0.737 0.929
4 P 0.750 0.466 0.034
5 O 0.573 0.766 0.418
6 O 0.263 0.049 0.902
7 P 0.547 0.953 0.250
8 Sb 0.001 0.998 0.997
9 O 0.291 0.503 0.120
10 O 0.997 0.210 0.379
11 O 0.667 0.517 0.897
12 Mg 0.250 0.250 0.250
13 O 0.900 0.665 0.516
14 O 0.834 0.601 0.984
15 O 0.982 0.833 0.602
16 O 0.451 0.238 0.598
17 O 0.210 0.381 0.998
18 O 0.418 0.571 0.765
19 O 0.763 0.414 0.572
20 O 0.734 0.927 0.083
21 O 0.234 0.597 0.453
22 V 0.850 0.851 0.854
23 V 0.650 0.649 0.646
24 O 0.929 0.081 0.735
25 O 0.048 0.903 0.265
26 O 0.597 0.453 0.234
27 P 0.251 0.548 0.953
28 O 0.119 0.288 0.503
29 V 0.134 0.134 0.134
30 O 0.903 0.267 0.046
31 P 0.952 0.249 0.547
32 P 0.465 0.035 0.750
33 V 0.366 0.366 0.366
34 O 0.505 0.122 0.285
35 O 0.598 0.983 0.837
36 Sb 0.502 0.499 0.504
37 O 0.517 0.902 0.664



Compound: MgV4Sb2P6O24
Source: the Materials Project database
Functional: PBE+U
Structure: optimized geometry

* symmetry: C2

a b c (Å): 8.985 8.850 8.983
angles (deg): 59.69 59.03 59.67
Sites, in units of the cell vectors:
1 P 0.469 0.036 0.745
2 O 0.073 0.902 0.261
3 Sb 0.509 0.491 0.526
4 P 0.755 0.464 0.031
5 O 0.088 0.752 0.922
6 P 0.953 0.250 0.547
7 O 0.098 0.307 0.523
8 O 0.921 0.089 0.745
9 V 0.656 0.649 0.642
10 O 0.518 0.891 0.667
11 O 0.408 0.926 0.195
12 P 0.042 0.750 0.458
13 O 0.479 0.105 0.292
14 O 0.833 0.609 0.982
15 O 0.896 0.266 0.078
16 O 0.756 0.411 0.579
17 O 0.294 0.012 0.926
18 O 0.208 0.395 0.021
19 O 0.008 0.812 0.606
20 O 0.894 0.688 0.492
21 O 0.622 0.007 0.796
22 O 0.736 0.923 0.084
23 P 0.252 0.564 0.960
24 O 0.240 0.598 0.427
25 P 0.540 0.936 0.248
26 V 0.143 0.148 0.149
27 O 0.305 0.574 0.092
28 O 0.422 0.234 0.604
29 O 0.575 0.489 0.206
30 V 0.858 0.851 0.844
31 Sb 0.974 0.009 0.991
32 O 0.416 0.577 0.763
33 O 0.977 0.194 0.402
34 O 0.704 0.494 0.878
35 V 0.351 0.352 0.357
36 Mg 0.358 0.750 0.142
37 O 0.578 0.747 0.412



Compound: MgV2P2O10
Source: the Materials Project database
Functional: PBE+U
Structure: optimized geometry

* symmetry: P-1

a b c (Å): 4.731 6.364 6.367
angles (deg): 91.27 93.14 86.30
Sites, in units of the cell vectors:
1 O 0.283 0.737 0.056
2 O 0.761 0.704 0.796
3 O 0.333 0.747 0.450
4 O 0.331 0.052 0.764
5 V 0.586 0.252 0.246
6 O 0.669 0.948 0.236
7 O 0.717 0.263 0.944
8 V 0.414 0.748 0.754
9 O 0.667 0.253 0.550
10 O 0.239 0.296 0.204
11 O 0.717 0.555 0.241
12 Mg 0.000 0.500 0.000
13 P 0.500 0.752 0.251
14 O 0.283 0.445 0.759
15 P 0.500 0.248 0.749



Compound: MgV2P2O10
Source: the Materials Project database
Functional: PBE+U
Structure: optimized geometry

* symmetry: C2/m

a b c (Å): 5.505 5.505 6.446
angles (deg): 81.02 81.02 71.83
Sites, in units of the cell vectors:
1 V 0.172 0.172 0.292
2 P 0.227 0.227 0.764
3 O 0.156 0.525 0.697
4 O 0.357 0.357 0.288
5 O 0.844 0.475 0.303
6 O 0.901 0.901 0.373
7 P 0.773 0.773 0.236
8 O 0.525 0.156 0.697
9 O 0.154 0.154 0.996
10 V 0.828 0.828 0.708
11 O 0.643 0.643 0.712
12 O 0.846 0.846 0.004
13 O 0.099 0.099 0.627
14 O 0.475 0.844 0.303
15 Mg 0.500 0.500 0.500



Compound: MgV4P2O13
Source: the Materials Project database
Functional: PBE+U
Structure: optimized geometry

* symmetry: P1

a b c (Å): 5.264 5.011 10.103
angles (deg): 100.90 103.01 83.19
Sites, in units of the cell vectors:
1 V 0.011 0.877 0.344
2 O 0.935 0.426 0.649
3 O 0.256 0.129 0.443
4 O 0.993 0.831 0.542
5 O 0.476 0.363 0.132
6 O 0.662 0.983 0.297
7 O 0.126 0.546 0.296
8 V 0.553 0.469 0.988
9 O 0.232 0.778 0.952
10 O 0.792 0.738 0.978
11 O 0.103 0.012 0.178
12 O 0.905 0.202 0.958
13 V 0.293 0.090 0.633
14 O 0.649 0.515 0.421
15 V 0.412 0.261 0.291
16 O 0.367 0.276 0.819
17 P 0.786 0.644 0.563
18 O 0.599 0.822 0.648
19 Mg 0.017 0.446 0.850
20 P 0.011 0.939 0.019



Energy above the most stable polymorph in this dataset across the listed records, respectively: 0 0 30 20 0 7 6 34 meV/atom.
Energy relative to the elements across the listed records, respectively: -1.376 -1.323 -2.500 -2.510 -2.530 -2.699 -2.699 -2.571 eV per atom.